Compound: Fe3O5F
Source: the Materials Project
Functional: PBE with a Hubbard U
Structure: relaxed

Lattice parameters (Å, degrees): 9.0349 4.6364 4.6364 87.39 90.00 90.00
Positions (direct):
Fe1 0.0000 0.0000 0.0000
Fe2 0.1604 0.4931 0.4931
Fe3 0.3332 0.0215 0.0215
Fe4 0.5000 0.4903 0.4903
Fe5 0.6668 0.0215 0.0215
Fe6 0.8396 0.4931 0.4931
O1 0.0000 0.2986 0.2986
O2 0.0000 0.6864 0.6864
O3 0.1698 0.1942 0.8080
O4 0.1698 0.8080 0.1942
O5 0.3279 0.3198 0.3198
O6 0.5000 0.2024 0.8163
O7 0.5000 0.8163 0.2024
O8 0.6721 0.3198 0.3198
O9 0.8302 0.1942 0.8080
O10 0.8302 0.8080 0.1942
F1 0.3352 0.7019 0.7019
F2 0.6648 0.7019 0.7019

Output
The formation energy is -1323.6 kJ/mol of formula units. Its MP2020-corrected energy is -131.6 eV/cell. As for the relative energy among the computed polymorphs: 6 meV/atom. The calculation puts the theoretical density at 4.56 g/cm3.

---

Compound: Fe3O5F
Source: the Materials Project
Functional: PBE with a Hubbard U
Structure: relaxed

Lattice parameters (Å, degrees): 4.6419 5.5354 7.6130 85.45 88.49 88.01
Positions (direct):
Fe1 0.0000 0.0000 0.0000
Fe2 0.0042 0.3253 0.6798
Fe3 0.5072 0.5000 0.0063
Fe4 0.5227 0.8445 0.6788
Fe5 0.5266 0.1785 0.3480
Fe6 0.9878 0.6547 0.3320
O1 0.1940 0.2907 0.9040
O2 0.3125 0.7952 0.9040
O3 0.3154 0.1324 0.5726
O4 0.3189 0.4625 0.2399
O5 0.6997 0.5394 0.7744
O6 0.7003 0.8710 0.4423
O7 0.7053 0.2045 0.1129
O8 0.8105 0.0361 0.7749
O9 0.8151 0.7112 0.1041
O10 0.8245 0.3702 0.4519
F1 0.2056 0.9634 0.2419
F2 0.2079 0.6369 0.5720

Output
The formation energy is -1321.7 kJ/mol of formula units. Its MP2020-corrected energy is -131.5 eV/cell. As for the relative energy among the computed polymorphs: 8 meV/atom. The calculation puts the theoretical density at 4.54 g/cm3.

---

Compound: Fe5O3F7
Source: the Materials Project
Functional: PBE with a Hubbard U
Structure: relaxed

Lattice parameters (Å, degrees): 15.6802 4.8106 4.7968 90.00 90.00 90.00
Positions (direct):
Fe1 0.0000 0.2191 0.0000
Fe2 0.0952 0.7521 0.4784
Fe3 0.2090 0.2904 0.9484
Fe4 0.2910 0.7096 0.4484
Fe5 0.4048 0.2479 0.9784
Fe6 0.5000 0.7809 0.5000
Fe7 0.5952 0.2479 0.9784
Fe8 0.7090 0.7096 0.4484
Fe9 0.7910 0.2904 0.9484
Fe10 0.9048 0.7521 0.4784
O1 0.0000 0.9283 0.2874
O2 0.1986 0.5597 0.6542
O3 0.3014 0.4403 0.1542
O4 0.5000 0.0717 0.7874
O5 0.6986 0.4403 0.1542
O6 0.8014 0.5597 0.6542
F1 0.0000 0.5245 0.6889
F2 0.1072 0.4471 0.1652
F3 0.1091 0.0573 0.7772
F4 0.2012 0.9559 0.2566
F5 0.2988 0.0441 0.7566
F6 0.3909 0.9427 0.2772
F7 0.3928 0.5529 0.6652
F8 0.5000 0.4755 0.1889
F9 0.6072 0.5529 0.6652
F10 0.6091 0.9427 0.2772
F11 0.7012 0.0441 0.7566
F12 0.7988 0.9559 0.2566
F13 0.8909 0.0573 0.7772
F14 0.8928 0.4471 0.1652

Output
The formation energy is -3186.0 kJ/mol of formula units. Its MP2020-corrected energy is -207.2 eV/cell. As for the relative energy among the computed polymorphs: 28 meV/atom. The calculation puts the theoretical density at 4.22 g/cm3.

---

Compound: Fe7O3F13
Source: the Materials Project
Functional: PBE with a Hubbard U
Structure: relaxed

Lattice parameters (Å, degrees): 6.1675 6.1991 10.5987 106.71 90.56 118.57
Positions (direct):
Fe1 0.0000 0.0000 0.0000
Fe2 0.0000 0.4982 0.9958
Fe3 0.0204 0.9845 0.4845
Fe4 0.0837 0.6403 0.6643
Fe5 0.2837 0.9946 0.2313
Fe6 0.5094 0.5143 0.4879
Fe7 0.7361 0.9862 0.7311
O1 0.3875 0.7381 0.6216
O2 0.9013 0.7811 0.6072
O3 0.9513 0.7753 0.1018
F1 0.1053 0.2421 0.8847
F2 0.1115 0.7379 0.8632
F3 0.1404 0.2047 0.3594
F4 0.1458 0.7927 0.3554
F5 0.3405 0.2029 0.1096
F6 0.3461 0.7328 0.1074
F7 0.3528 0.2426 0.5857
F8 0.5886 0.2471 0.3521
F9 0.6791 0.7808 0.3913
F10 0.7010 0.7944 0.8678
F11 0.7037 0.2824 0.8614
F12 0.9114 0.2590 0.0983
F13 0.9191 0.2536 0.6125

Output
The formation energy is -5068.0 kJ/mol of formula units. Its MP2020-corrected energy is -151.5 eV/cell. As for the relative energy among the computed polymorphs: 0 meV/atom. The calculation puts the theoretical density at 3.39 g/cm3.

---

Compound: Fe2O3F
Source: the Materials Project
Functional: PBE with a Hubbard U
Structure: relaxed

Lattice parameters (Å, degrees): 7.0612 7.0612 6.8994 90.00 90.00 129.70
Positions (direct):
Fe1 0.1250 0.3750 0.7500
Fe2 0.1249 0.8751 0.7853
Fe3 0.3750 0.1250 0.2500
Fe4 0.3751 0.6249 0.2853
Fe5 0.6249 0.3751 0.7147
Fe6 0.6250 0.8750 0.7500
Fe7 0.8751 0.1249 0.2147
Fe8 0.8750 0.6250 0.2500
O1 0.0287 0.4713 0.2500
O2 0.1241 0.8759 0.0719
O3 0.2214 0.2786 0.2500
O4 0.2786 0.2214 0.7500
O5 0.3759 0.6241 0.5719
O6 0.4713 0.0287 0.7500
O7 0.5287 0.9713 0.2500
O8 0.6241 0.3759 0.4281
O9 0.7214 0.7786 0.2500
O10 0.7786 0.7214 0.7500
O11 0.8759 0.1241 0.9281
O12 0.9713 0.5287 0.7500
F1 0.1259 0.8741 0.4513
F2 0.3741 0.6259 0.9513
F3 0.6259 0.3741 0.0487
F4 0.8741 0.1259 0.5487

Output
The formation energy is -966.0 kJ/mol of formula units. Its MP2020-corrected energy is -174.8 eV/cell. As for the relative energy among the computed polymorphs: 5 meV/atom. The calculation puts the theoretical density at 4.48 g/cm3.

---

Compound: Fe10O11F9
Source: the Materials Project
Functional: PBE with a Hubbard U
Structure: relaxed

Lattice parameters (Å, degrees): 4.7356 15.3742 4.7506 90.00 92.35 90.00
Positions (direct):
Fe1 0.0000 0.0000 0.0000
Fe2 0.0017 0.2006 0.9910
Fe3 0.0017 0.7994 0.9910
Fe4 0.0437 0.3970 0.0040
Fe5 0.0437 0.6030 0.0040
Fe6 0.5425 0.5000 0.4988
Fe7 0.5797 0.3087 0.4778
Fe8 0.5797 0.6913 0.4778
Fe9 0.5825 0.1029 0.4917
Fe10 0.5825 0.8971 0.4917
O1 0.3541 0.4067 0.3017
O2 0.3541 0.5933 0.3017
O3 0.7349 0.2054 0.6731
O4 0.7349 0.7946 0.6731
O5 0.7356 0.0000 0.6777
O6 0.7432 0.4081 0.6917
O7 0.7432 0.5919 0.6917
O8 0.8430 0.1014 0.1803
O9 0.8430 0.8986 0.1803
O10 0.8546 0.3031 0.1788
O11 0.8546 0.6969 0.1788
F1 0.2351 0.5000 0.8095
F2 0.2367 0.1023 0.7904
F3 0.2367 0.8977 0.7904
F4 0.2427 0.3014 0.7930
F5 0.2427 0.6986 0.7930
F6 0.3424 0.0000 0.2876
F7 0.3442 0.2034 0.2838
F8 0.3442 0.7966 0.2838
F9 0.8579 0.5000 0.1903

Output
The formation energy is -5685.8 kJ/mol of formula units. Its MP2020-corrected energy is -215.3 eV/cell. As for the relative energy among the computed polymorphs: 0 meV/atom. The calculation puts the theoretical density at 4.35 g/cm3.